1.
A relaxed structure of Mg6NbNiO8. Source: the Materials Project database, functional PBE+U.

abc: 4.2541 4.2541 9.0600
angles: 90.00 90.00 90.00
Last column: nearest neighbours and their distance in Å.
Fractional coordinates of all 16 atoms:
Mg: 0.0000 0.0000 0.0000  6 O 2.13-2.26
Mg: 0.0000 0.0000 0.5000  6 O 2.13-2.27
Mg: 0.0000 0.5000 0.2305  5 O 2.09-2.15
Mg: 0.0000 0.5000 0.7695  5 O 2.09-2.15
Mg: 0.5000 0.0000 0.2305  5 O 2.09-2.15
Mg: 0.5000 0.0000 0.7695  5 O 2.09-2.15
Nb: 0.5000 0.5000 0.5000  6 O 2.13
Ni: 0.5000 0.5000 0.0000  4 O 2.13
O: 0.0000 0.0000 0.2500  6 Mg 2.13-2.27
O: 0.0000 0.0000 0.7500  6 Mg 2.13-2.27
O: 0.0000 0.5000 0.0000  4 Mg 2.09-2.13, 2 Ni 2.13
O: 0.0000 0.5000 0.5000  2 Nb 2.13, 2 Mg 2.13
O: 0.5000 0.0000 0.0000  4 Mg 2.09-2.13, 2 Ni 2.13
O: 0.5000 0.0000 0.5000  2 Nb 2.13, 2 Mg 2.13
O: 0.5000 0.5000 0.2646  1 Nb 2.13, 4 Mg 2.15
O: 0.5000 0.5000 0.7354  1 Nb 2.13, 4 Mg 2.15

Its formation enthalpy at 0 K is -2.5367 eV/atom. Its calculated total energy is -6.101 eV/atom.



2.
A relaxed structure of Mg6NbNiO8. Source: the Materials Project database, functional PBE+U.

abc: 4.2744 4.2744 8.8797
angles: 90.00 90.00 90.00
Last column: nearest neighbours and their distance in Å.
Fractional coordinates of all 16 atoms:
Mg: 0.0000 0.0000 0.0000  6 O 2.14-2.20
Mg: 0.0000 0.5000 0.2428  6 O 2.14-2.28
Mg: 0.0000 0.5000 0.7572  6 O 2.14-2.28
Mg: 0.5000 0.0000 0.2428  6 O 2.14-2.28
Mg: 0.5000 0.0000 0.7572  6 O 2.14-2.28
Mg: 0.5000 0.5000 0.0000  6 O 2.04-2.14
Nb: 0.0000 0.0000 0.5000  6 O 2.14-2.24
Ni: 0.5000 0.5000 0.5000  4 O 2.14
O: 0.0000 0.0000 0.2474  5 Mg 2.14-2.20, 1 Nb 2.24
O: 0.0000 0.0000 0.7526  5 Mg 2.14-2.20, 1 Nb 2.24
O: 0.0000 0.5000 0.0000  6 Mg 2.14-2.16
O: 0.0000 0.5000 0.5000  2 Nb 2.14, 2 Ni 2.14, 2 Mg 2.28
O: 0.5000 0.0000 0.0000  6 Mg 2.14-2.16
O: 0.5000 0.0000 0.5000  2 Nb 2.14, 2 Ni 2.14, 2 Mg 2.28
O: 0.5000 0.5000 0.2300  5 Mg 2.04-2.14
O: 0.5000 0.5000 0.7700  5 Mg 2.04-2.14

Its formation enthalpy at 0 K is -2.5498 eV/atom. Its calculated total energy is -6.114 eV/atom.



3.
A relaxed structure of MgNbVO4. Source: the Materials Project database, functional PBE+U.

abc: 4.1863 4.1899 8.9567
angles: 90.00 90.00 90.00
Last column: nearest neighbours and their distance in Å.
Fractional coordinates of all 14 atoms:
Mg: 0.0000 0.0000 0.0000  6 O 2.10-2.21
Mg: 0.5000 0.5000 0.5000  6 O 2.10-2.21
Nb: 0.0000 0.5000 0.7512  6 O 2.09-2.13
Nb: 0.5000 0.0000 0.2512  6 O 2.09-2.13
V: 0.0000 0.0000 0.5036  6 O 2.10-2.30
V: 0.5000 0.5000 0.0036  6 O 2.10-2.30
O: 0.0000 0.0000 0.2473  2 Nb 2.09, 1 Mg 2.21, 1 V 2.30
O: 0.0000 0.0000 0.7559  2 Nb 2.10, 1 Mg 2.19, 1 V 2.26
O: 0.0000 0.5000 0.5139  2 Mg 2.10, 2 V 2.10, 1 Nb 2.13
O: 0.0000 0.5000 0.9889  2 V 2.10, 2 Mg 2.10, 1 Nb 2.13
O: 0.5000 0.0000 0.0139  2 Mg 2.10, 2 V 2.10, 1 Nb 2.13
O: 0.5000 0.0000 0.4889  2 V 2.10, 2 Mg 2.10, 1 Nb 2.13
O: 0.5000 0.5000 0.2559  2 Nb 2.10, 1 Mg 2.19, 1 V 2.26
O: 0.5000 0.5000 0.7473  2 Nb 2.09, 1 Mg 2.21, 1 V 2.30

Its formation enthalpy at 0 K is -2.6148 eV/atom. Its calculated total energy is -7.776 eV/atom.



4.
A relaxed structure of MgNb2V2O8. Source: the Materials Project database, functional PBE+U.

abc: 5.6966 5.6966 6.8003
angles: 124.19 124.19 66.97
Last column: nearest neighbours and their distance in Å.
Fractional coordinates of all 13 atoms:
Mg: 0.0000 0.0000 0.0000  6 O 1.97-2.11
Nb: 0.3184 0.3194 0.0471  4 O 1.92-2.08
Nb: 0.6806 0.6816 0.9529  4 O 1.92-2.08
V: 0.0007 0.5004 0.4999  6 O 2.10-2.23
V: 0.4996 0.9993 0.5001  6 O 2.10-2.23
O: 0.1523 0.7214 0.1684  1 Nb 1.97, 1 Mg 2.11
O: 0.2782 0.2760 0.3104  1 Mg 1.97, 1 Nb 2.08, 2 V 2.15-2.16
O: 0.2786 0.8477 0.8316  1 Nb 1.97, 1 Mg 2.11
O: 0.2847 0.2859 0.7359  1 Nb 1.92, 2 V 2.10-2.11
O: 0.7141 0.7153 0.2641  1 Nb 1.92, 2 V 2.10-2.11
O: 0.7206 0.1538 0.1671  1 Nb 1.97, 1 Mg 2.10
O: 0.7240 0.7218 0.6896  1 Mg 1.97, 1 Nb 2.08, 2 V 2.15-2.16
O: 0.8462 0.2794 0.8329  1 Nb 1.97, 1 Mg 2.10

Its formation enthalpy at 0 K is -2.7139 eV/atom. Its calculated total energy is -8.149 eV/atom.



5.
A relaxed structure of MgNb4VO12. Source: the Materials Project database, functional PBE+U.

abc: 5.2817 5.6541 7.7698
angles: 94.36 90.76 90.09
Last column: nearest neighbours and their distance in Å.
Fractional coordinates of all 18 atoms:
Mg: 0.0000 0.0000 0.0000  4 O 2.00-2.15
Nb: 0.0015 0.5815 0.1997  4 O 1.87-2.09
Nb: 0.0050 0.6131 0.6952  5 O 1.92-2.10
Nb: 0.5035 0.1323 0.7249  3 O 1.84-2.00
Nb: 0.5085 0.1203 0.2219  6 O 1.95-2.14
V: 0.5012 0.7274 0.4123  6 O 2.10-2.18
O: 0.1385 0.5918 0.4656  1 Nb 1.92, 1 V 2.12
O: 0.1707 0.2697 0.1484  2 Nb 1.99-2.07, 1 Mg 2.04
O: 0.1934 0.8983 0.7870  2 Nb 1.97-2.19, 1 Mg 2.00
O: 0.2848 0.8042 0.1830  2 Nb 1.97-2.14, 1 V 2.18
O: 0.2937 0.3881 0.7723  1 Nb 1.84
O: 0.4135 0.0878 0.4731  2 Nb 2.00-2.04, 1 V 2.11
O: 0.6311 0.0964 0.9806  2 Nb 1.99-2.11, 1 Mg 2.03
O: 0.6753 0.4225 0.2876  2 Nb 1.95-2.09, 1 V 2.13
O: 0.6985 0.7837 0.6483  1 Nb 1.93, 1 V 2.10
O: 0.7874 0.8904 0.2651  2 Nb 2.01-2.12, 1 V 2.16
O: 0.8019 0.3067 0.6898  2 Nb 1.89-2.03
O: 0.9101 0.6275 0.9720  1 Nb 1.87

Its formation enthalpy at 0 K is -2.9011 eV/atom. Its calculated total energy is -8.486 eV/atom.



6.
A relaxed structure of MgNbVO4. Source: the Materials Project database, functional PBE+U.

abc: 4.1839 4.1993 8.9691
angles: 90.00 90.00 90.00
Last column: nearest neighbours and their distance in Å.
Fractional coordinates of all 14 atoms:
Mg: 0.0000 0.0000 0.0000  6 O 2.10-2.23
Mg: 0.5000 0.5000 0.5000  6 O 2.10-2.23
Nb: 0.0000 0.5000 0.7522  6 O 2.09-2.13
Nb: 0.5000 0.0000 0.2522  6 O 2.09-2.13
V: 0.0000 0.0000 0.5070  6 O 2.10-2.32
V: 0.5000 0.5000 0.0070  6 O 2.10-2.32
O: 0.0000 0.0000 0.2484  2 Nb 2.09, 1 Mg 2.23, 1 V 2.32
O: 0.0000 0.0000 0.7580  2 Nb 2.10, 1 Mg 2.17, 1 V 2.25
O: 0.0000 0.5000 0.5152  2 Mg 2.10, 2 V 2.10, 1 Nb 2.13
O: 0.0000 0.5000 0.9894  2 V 2.10, 2 Mg 2.10, 1 Nb 2.13
O: 0.5000 0.0000 0.0152  2 Mg 2.10, 2 V 2.10, 1 Nb 2.13
O: 0.5000 0.0000 0.4894  2 V 2.10, 2 Mg 2.10, 1 Nb 2.13
O: 0.5000 0.5000 0.2580  2 Nb 2.10, 1 Mg 2.17, 1 V 2.25
O: 0.5000 0.5000 0.7484  2 Nb 2.09, 1 Mg 2.23, 1 V 2.32

Its formation enthalpy at 0 K is -2.6148 eV/atom. Its calculated total energy is -7.776 eV/atom.



7.
A relaxed structure of MgNb4VO12. Source: the Materials Project database, functional PBE+U.

abc: 5.2371 5.6067 7.8521
angles: 84.57 89.79 89.82
Last column: nearest neighbours and their distance in Å.
Fractional coordinates of all 18 atoms:
Mg: 0.0000 0.0000 0.0000  5 O 2.01-2.17
Nb: 0.0052 0.4373 0.7128  3 O 1.83-2.01
Nb: 0.0119 0.4103 0.2340  3 O 1.83-2.02
Nb: 0.5071 0.9371 0.7141  3 O 1.83-2.02
Nb: 0.5090 0.9115 0.2376  3 O 1.83-2.01
V: 0.5105 0.5121 0.0108  6 O 2.09-2.22
O: 0.1110 0.3957 0.4579  1 Nb 1.83
O: 0.1953 0.0788 0.7805  1 Nb 1.91, 1 Mg 2.01
O: 0.2008 0.7047 0.1341  2 Nb 2.02-2.19, 1 Mg 2.15, 1 V 2.22
O: 0.3084 0.1955 0.1358  2 Nb 2.01-2.15, 1 V 2.22
O: 0.3165 0.5799 0.7788  1 Nb 1.91, 1 V 2.09
O: 0.4057 0.8990 0.4610  1 Nb 1.83
O: 0.6416 0.8706 0.9551  1 Nb 2.02, 1 Mg 2.06, 1 V 2.13
O: 0.6889 0.5790 0.2476  2 Nb 1.94-2.08, 1 V 2.15
O: 0.7043 0.2024 0.6604  1 Nb 1.83
O: 0.8091 0.7034 0.6567  1 Nb 1.83
O: 0.8261 0.0804 0.2400  2 Nb 1.92-2.09
O: 0.8794 0.3715 0.9549  1 Nb 2.01, 1 V 2.14, 1 Mg 2.17

Its formation enthalpy at 0 K is -2.9359 eV/atom. Its calculated total energy is -8.520 eV/atom.



8.
A relaxed structure of MgNb2V2O8. Source: the Materials Project database, functional PBE+U.

abc: 7.3348 7.3348 5.0908
angles: 105.86 105.86 127.16
Last column: nearest neighbours and their distance in Å.
Fractional coordinates of all 13 atoms:
Mg: 0.0000 0.0000 0.0000  6 O 2.12-2.13
Nb: 0.6082 0.3918 0.5000  6 O 1.96-2.15
Nb: 0.7790 0.2210 0.0000  4 O 1.86-1.94
V: 0.1210 0.8790 0.5000  6 O 2.07-2.24
V: 0.4324 0.5676 0.0000  4 O 2.05-2.17
O: 0.0825 0.3298 0.9970  1 Nb 1.86, 1 V 2.05
O: 0.2866 0.2630 0.5252  1 Nb 2.00, 1 Mg 2.12, 2 V 2.17-2.24
O: 0.3521 0.1229 0.0152  1 Nb 1.96, 1 V 2.07, 1 Mg 2.13
O: 0.5133 0.0708 0.5566  2 Nb 1.94-2.15
O: 0.6702 0.9175 0.0030  1 Nb 1.86, 1 V 2.05
O: 0.7370 0.7134 0.4748  1 Nb 2.00, 1 Mg 2.12, 2 V 2.17-2.24
O: 0.8771 0.6479 0.9848  1 Nb 1.96, 1 V 2.07, 1 Mg 2.13
O: 0.9292 0.4867 0.4434  2 Nb 1.94-2.15

Its formation enthalpy at 0 K is -2.6674 eV/atom. Its calculated total energy is -8.103 eV/atom.



9.
A relaxed structure of MgNbV3O8. Source: the Materials Project database, functional PBE+U.

abc: 6.6267 6.6267 6.9353
angles: 106.13 106.13 35.26
Last column: nearest neighbours and their distance in Å.
Fractional coordinates of all 13 atoms:
Mg: 0.0000 0.0000 0.0000  5 O 1.95-2.07
Nb: 0.5260 0.5260 0.3267  6 O 1.92-2.08
V: 0.1317 0.1317 0.7337  3 O 1.87-2.09
V: 0.2170 0.2170 0.3112  6 O 1.97-2.19
V: 0.4175 0.4175 0.6762  4 O 1.92-2.08
O: 0.0438 0.0438 0.3119  2 Nb 2.03, 1 Mg 2.07, 1 V 2.19
O: 0.1650 0.1650 0.0149  2 V 1.87-1.97, 1 Mg 2.06
O: 0.2594 0.2594 0.6265  3 V 1.92-2.09
O: 0.3818 0.3818 0.3676  1 Nb 1.92, 2 V 2.00-2.05
O: 0.4663 0.4663 0.0213  1 Nb 2.03, 2 Mg 2.07
O: 0.5823 0.5823 0.6397  1 Nb 2.08, 3 V 2.15-2.17
O: 0.6859 0.6859 0.3248  1 Nb 2.02, 2 V 2.05
O: 0.9624 0.9624 0.7071  1 Mg 1.95, 3 V 2.08-2.09

Its formation enthalpy at 0 K is -2.5940 eV/atom. Its calculated total energy is -7.820 eV/atom.



10.
A relaxed structure of Mg6NbVO8. Source: the Materials Project database, functional PBE+U.

abc: 4.3263 4.3263 8.7378
angles: 90.00 90.00 90.00
Last column: nearest neighbours and their distance in Å.
Fractional coordinates of all 16 atoms:
Mg: 0.0000 0.0000 0.0000  6 O 2.08-2.16
Mg: 0.0000 0.5000 0.2444  6 O 2.14-2.23
Mg: 0.0000 0.5000 0.7556  6 O 2.14-2.23
Mg: 0.5000 0.0000 0.2444  6 O 2.14-2.23
Mg: 0.5000 0.0000 0.7556  6 O 2.14-2.23
Mg: 0.5000 0.5000 0.0000  6 O 2.14-2.16
Nb: 0.0000 0.0000 0.5000  6 O 2.16-2.29
V: 0.5000 0.5000 0.5000  6 O 2.16-2.22
O: 0.0000 0.0000 0.2375  5 Mg 2.08-2.16, 1 Nb 2.29
O: 0.0000 0.0000 0.7625  5 Mg 2.08-2.16, 1 Nb 2.29
O: 0.0000 0.5000 0.0000  6 Mg 2.14-2.16
O: 0.0000 0.5000 0.5000  2 Nb 2.16, 2 V 2.16, 2 Mg 2.23
O: 0.5000 0.0000 0.0000  6 Mg 2.14-2.16
O: 0.5000 0.0000 0.5000  2 Nb 2.16, 2 V 2.16, 2 Mg 2.23
O: 0.5000 0.5000 0.2454  5 Mg 2.14-2.16, 1 V 2.22
O: 0.5000 0.5000 0.7546  5 Mg 2.14-2.16, 1 V 2.22

Its formation enthalpy at 0 K is -2.6474 eV/atom. Its calculated total energy is -6.471 eV/atom.



11.
A relaxed structure of MgNbVO4. Source: the Materials Project database, functional PBE+U.

abc: 4.3028 4.3079 8.3477
angles: 90.00 90.00 90.00
Last column: nearest neighbours and their distance in Å.
Fractional coordinates of all 14 atoms:
Mg: 0.0000 0.0000 0.0000  6 O 2.12-2.15
Mg: 0.5000 0.5000 0.5000  6 O 2.12-2.15
Nb: 0.0000 0.0000 0.4991  6 O 2.05-2.15
Nb: 0.5000 0.5000 0.9991  6 O 2.05-2.15
V: 0.0000 0.5000 0.2492  6 O 2.08-2.15
V: 0.5000 0.0000 0.7492  6 O 2.08-2.15
O: 0.0000 0.0000 0.2535  1 Nb 2.05, 1 Mg 2.12, 2 V 2.15
O: 0.0000 0.0000 0.7449  1 Nb 2.05, 1 Mg 2.13, 2 V 2.15
O: 0.0000 0.5000 0.0001  1 V 2.08, 2 Nb 2.15, 2 Mg 2.15
O: 0.0000 0.5000 0.4981  1 V 2.08, 2 Mg 2.15, 2 Nb 2.15
O: 0.5000 0.0000 0.5001  1 V 2.08, 2 Nb 2.15, 2 Mg 2.15
O: 0.5000 0.0000 0.9981  1 V 2.08, 2 Mg 2.15, 2 Nb 2.15
O: 0.5000 0.5000 0.2449  1 Nb 2.05, 1 Mg 2.13, 2 V 2.15
O: 0.5000 0.5000 0.7535  1 Nb 2.05, 1 Mg 2.12, 2 V 2.15

Its formation enthalpy at 0 K is -2.5331 eV/atom. Its calculated total energy is -7.694 eV/atom.



12.
A relaxed structure of MgNb2V2O8. Source: the Materials Project database, functional PBE+U.

abc: 7.6585 7.6585 5.0016
angles: 104.17 104.17 132.13
Last column: nearest neighbours and their distance in Å.
Fractional coordinates of all 13 atoms:
Mg: 0.0000 0.0000 0.0000  4 O 1.98-2.04
Nb: 0.1579 0.8421 0.5000  4 O 1.90-1.99
Nb: 0.3288 0.6712 0.0000  4 O 1.89-2.00
V: 0.6699 0.3301 0.5000  6 O 2.13-2.17
V: 0.8021 0.1979 0.0000  6 O 2.09-2.16
O: 0.0439 0.4888 0.5319  1 Nb 2.00, 2 V 2.15-2.17
O: 0.1647 0.3486 0.0060  1 Nb 1.89, 1 Mg 2.04
O: 0.2691 0.1241 0.4257  1 Nb 1.90, 1 Mg 1.98
O: 0.4436 0.0434 0.9762  1 Nb 1.99, 2 V 2.09-2.13
O: 0.5112 0.9561 0.4681  1 Nb 2.00, 2 V 2.15-2.17
O: 0.6514 0.8353 0.9940  1 Nb 1.89, 1 Mg 2.04
O: 0.8759 0.7309 0.5743  1 Nb 1.90, 1 Mg 1.98
O: 0.9566 0.5564 0.0238  1 Nb 1.99, 2 V 2.09-2.13

Its formation enthalpy at 0 K is -2.7436 eV/atom. Its calculated total energy is -8.179 eV/atom.